Compound: Sr3Mn2O12
Source: Materials Project
Functional: PBE+U
Structure: relaxed

Cell and atoms, written as POSCAR:
```
Sr3Mn2O12
1.0
-6.416 6.416 6.416
6.416 -6.416 6.416
6.416 6.416 -6.416
Sr Mn O
12 8 48
Direct
0.125 0.250 0.375
0.125 0.375 0.750
0.250 0.375 0.125
0.250 0.875 0.625
0.375 0.125 0.250
0.375 0.750 0.125
0.625 0.250 0.875
0.625 0.875 0.750
0.750 0.125 0.375
0.750 0.625 0.875
0.875 0.625 0.250
0.875 0.750 0.625
0.000 0.000 0.000
0.000 0.000 0.500
0.000 0.500 0.000
0.000 0.500 0.500
0.500 0.000 0.000
0.500 0.000 0.500
0.500 0.500 0.000
0.500 0.500 0.500
0.022 0.179 0.101
0.022 0.343 0.921
0.079 0.601 0.421
0.079 0.679 0.657
0.079 0.899 0.421
0.079 0.978 0.657
0.101 0.022 0.179
0.101 0.579 0.921
0.157 0.179 0.579
0.157 0.478 0.579
0.179 0.101 0.022
0.179 0.579 0.157
0.321 0.343 0.921
0.321 0.478 0.399
0.343 0.921 0.022
0.343 0.921 0.321
0.399 0.321 0.478
0.399 0.579 0.921
0.421 0.079 0.601
0.421 0.079 0.899
0.421 0.843 0.522
0.421 0.843 0.821
0.478 0.399 0.321
0.478 0.579 0.157
0.522 0.421 0.843
0.522 0.601 0.679
0.579 0.157 0.179
0.579 0.157 0.478
0.579 0.921 0.101
0.579 0.921 0.399
0.601 0.421 0.079
0.601 0.679 0.522
0.657 0.079 0.679
0.657 0.079 0.978
0.679 0.522 0.601
0.679 0.657 0.079
0.821 0.421 0.843
0.821 0.899 0.978
0.843 0.522 0.421
0.843 0.821 0.421
0.899 0.421 0.079
0.899 0.978 0.821
0.921 0.022 0.343
0.921 0.101 0.579
0.921 0.321 0.343
0.921 0.399 0.579
0.978 0.657 0.079
0.978 0.821 0.899
```

Summary:
Calculated volume (Å³/cell): 1056.4
Formation energy from the elements (meV per atom): -1402

Compound: SrMn7O12
Source: Materials Project
Functional: PBE+U
Structure: relaxed

Cell and atoms, written as POSCAR:
```
SrMn7O12
1.0
5.362 -3.749 0.000
5.362 3.749 0.000
-0.118 0.000 10.619
Sr Mn O
2 14 24
Direct
0.000 0.000 0.000
0.500 0.500 0.500
0.000 0.000 0.500
0.000 0.500 0.000
0.000 0.500 0.500
0.250 0.250 0.250
0.250 0.250 0.750
0.250 0.750 0.250
0.250 0.750 0.750
0.500 0.000 0.000
0.500 0.000 0.500
0.500 0.500 0.000
0.750 0.250 0.250
0.750 0.250 0.750
0.750 0.750 0.250
0.750 0.750 0.750
0.020 0.660 0.847
0.066 0.066 0.754
0.101 0.723 0.592
0.160 0.520 0.347
0.222 0.600 0.089
0.246 0.246 0.934
0.253 0.253 0.565
0.277 0.899 0.408
0.340 0.980 0.153
0.400 0.778 0.911
0.433 0.433 0.747
0.480 0.840 0.653
0.520 0.160 0.347
0.567 0.567 0.253
0.600 0.222 0.089
0.660 0.020 0.847
0.723 0.101 0.592
0.747 0.747 0.435
0.754 0.754 0.066
0.778 0.400 0.911
0.840 0.480 0.653
0.899 0.277 0.408
0.934 0.934 0.246
0.980 0.340 0.153
```

Summary:
Calculated volume (Å³/cell): 427.0
Formation energy from the elements (meV per atom): -2132

Which formula does entry 1 have?
Sr3Mn2O12